Record 1
PBE Na2TiAlP3O12, optimized geometry; calculated formation energy = -2943 meV per atom; V = 1405 Å³/cell
1.0
8.6120 -0.0312 0.0109
-4.3330 7.4426 -0.0109
0.0278 -0.0161 21.9741
O Na Ti P Al
72 12 6 18 6
Direct
0.0341 0.2017 0.1950
0.7989 0.8297 0.1939
0.8340 0.8063 0.5903
0.4767 0.1714 0.2417
0.3080 0.8326 0.2573
0.3009 0.8391 0.9751
0.9794 0.8094 0.0901
0.9746 0.1659 0.5906
0.8276 0.0325 0.8084
0.7008 0.5350 0.5283
0.4953 0.8566 0.0751
0.6342 0.5058 0.6418
0.1323 0.4964 0.8605
0.9628 0.7975 0.8057
0.3656 0.4931 0.3589
0.2025 0.0372 0.3057
0.4942 0.3658 0.1418
0.1609 0.6991 0.4751
0.1434 0.5047 0.5751
0.3595 0.5054 0.0749
0.7983 0.9659 0.6950
0.4800 0.3126 0.7420
0.3541 0.8534 0.5753
0.1937 0.1660 0.0903
0.6874 0.5200 0.2420
0.8286 0.5233 0.7417
0.4946 0.6405 0.5749
0.4656 0.1631 0.5272
0.6413 0.4992 0.9239
0.1466 0.6459 0.0753
0.8280 0.3072 0.2416
0.3674 0.8684 0.8616
0.1906 0.0206 0.5901
0.3127 0.4760 0.7568
0.0207 0.1867 0.9087
0.6295 0.1309 0.1390
0.1735 0.9677 0.1922
0.8101 0.8381 0.9084
0.5008 0.3587 0.4239
0.5340 0.8348 0.4736
0.8573 0.3539 0.9235
0.4986 0.1326 0.6403
0.1652 0.4660 0.9736
0.8691 0.3705 0.6390
0.1673 0.4730 0.2570
0.8402 0.3011 0.5255
0.9675 0.1724 0.3084
0.5358 0.7038 0.9724
0.1316 0.6326 0.3616
0.6461 0.1427 0.4235
0.2962 0.4642 0.4724
0.2007 0.1681 0.8070
0.6928 0.1720 0.7416
0.0323 0.8265 0.6922
0.1703 0.2011 0.6939
0.5270 0.8327 0.7570
0.8133 0.9793 0.4087
0.8341 0.0254 0.0906
0.4650 0.2992 0.0283
0.5006 0.1396 0.9237
0.0261 0.8387 0.4083
0.8369 0.5344 0.0272
0.1619 0.1899 0.4084
0.5036 0.8677 0.3605
0.8319 0.7993 0.3070
0.8674 0.5014 0.1403
0.1674 0.6920 0.7573
0.8604 0.4994 0.4237
0.5240 0.6873 0.2568
0.6989 0.1598 0.0255
0.1613 0.9739 0.9083
0.5069 0.6344 0.8589
0.6980 0.0303 0.9163
0.9697 0.3020 0.4163
0.6664 0.3328 0.8322
0.3030 0.9686 0.0830
0.3647 0.3636 0.2497
0.6672 0.3336 0.3322
0.0005 0.0002 0.9989
0.3338 0.6669 0.6656
0.3331 0.6662 0.1656
0.0314 0.6970 0.5830
0.6364 0.6353 0.7497
0.9998 0.9995 0.4989
0.9928 0.9986 0.1473
0.6680 0.3406 0.9807
0.3347 0.6739 0.3140
0.3261 0.6653 0.8140
0.6594 0.3320 0.4807
0.0014 0.0072 0.6473
0.3812 0.3422 0.0848
0.7154 0.7101 0.2515
0.6655 0.0440 0.0838
0.6227 0.6679 0.9171
0.3245 0.9521 0.9181
0.7145 0.0088 0.7514
0.3820 0.0434 0.5848
0.2893 0.0012 0.2504
0.6232 0.9513 0.4181
0.0487 0.3768 0.9181
0.9560 0.3345 0.5838
0.6578 0.6188 0.5848
0.9912 0.2855 0.2514
0.9566 0.6180 0.0848
0.0479 0.6755 0.4181
0.3321 0.3773 0.4171
0.2899 0.2846 0.7515
0.9988 0.7107 0.7504
0.3387 0.6669 0.5190
0.0054 0.0003 0.8523
0.3331 0.6613 0.0190
0.9997 0.9946 0.3523
0.6720 0.3336 0.1856
0.6664 0.3280 0.6856

=====

Record 2
PBE TmMg3, optimized geometry; calculated formation energy = -45 meV per atom; V = 97 Å³/cell
1.0
0.0000 3.6434 3.6434
3.6434 0.0000 3.6434
3.6434 3.6434 0.0000
Tm Mg
1 3
Direct
0.0000 0.0000 0.0000
0.2500 0.2500 0.2500
0.5000 0.5000 0.5000
0.7500 0.7500 0.7500

=====

Record 3
PBE NaNi3, optimized geometry; calculated formation energy = 516 meV per atom; V = 51 Å³/cell
1.0
3.7032 0.0000 0.0000
0.0000 3.7032 0.0000
0.0000 0.0000 3.7032
Na Ni
1 3
Direct
0.0000 0.0000 0.0000
0.0000 0.5000 0.5000
0.5000 0.0000 0.5000
0.5000 0.5000 0.0000